[1]
A geometry-optimized BaCrO3 structure, computed with GGA+U.

Computed properties:
* energy of formation: -2.539 eV per atom

a b c (Å): 5.741 5.741 32.846
angles (deg): 90.00 90.00 120.00
Positions (direct):
1 Ba 0.000 0.000 0.606
2 Ba 0.000 0.000 0.106
3 Ba 0.333 0.667 0.321
4 Ba 0.667 0.333 0.679
5 Ba 0.000 0.000 0.394
6 Ba 0.333 0.667 0.039
7 Ba 0.333 0.667 0.179
8 Ba 0.667 0.333 0.539
9 Ba 0.667 0.333 0.961
10 Ba 0.667 0.333 0.821
11 Ba 0.667 0.333 0.250
12 Ba 0.000 0.000 0.894
13 Ba 0.333 0.667 0.461
14 Ba 0.333 0.667 0.750
15 Cr 0.333 0.667 0.646
16 Cr 0.667 0.333 0.354
17 Cr 0.333 0.667 0.565
18 Cr 0.667 0.333 0.435
19 Cr 0.000 0.000 0.210
20 Cr 0.000 0.000 0.290
21 Cr 0.667 0.333 0.146
22 Cr 0.000 0.000 0.710
23 Cr 0.000 0.000 0.500
24 Cr 0.000 0.000 0.790
25 Cr 0.333 0.667 0.935
26 Cr 0.667 0.333 0.065
27 Cr 0.333 0.667 0.854
28 Cr 0.000 0.000 0.000
29 O 0.294 0.147 0.750
30 O 0.853 0.706 0.750
31 O 0.329 0.165 0.322
32 O 0.853 0.147 0.750
33 O 0.480 0.520 0.606
34 O 0.170 0.340 0.535
35 O 0.165 0.329 0.822
36 O 0.959 0.480 0.106
37 O 0.041 0.520 0.606
38 O 0.480 0.959 0.894
39 O 0.147 0.294 0.250
40 O 0.340 0.170 0.035
41 O 0.170 0.830 0.965
42 O 0.329 0.165 0.178
43 O 0.830 0.170 0.465
44 O 0.660 0.830 0.965
45 O 0.671 0.835 0.822
46 O 0.165 0.835 0.678
47 O 0.041 0.520 0.894
48 O 0.165 0.835 0.822
49 O 0.830 0.170 0.035
50 O 0.660 0.830 0.535
51 O 0.170 0.830 0.535
52 O 0.835 0.671 0.178
53 O 0.959 0.480 0.394
54 O 0.480 0.959 0.606
55 O 0.340 0.170 0.465
56 O 0.520 0.041 0.394
57 O 0.165 0.329 0.678
58 O 0.520 0.480 0.106
59 O 0.706 0.853 0.250
60 O 0.147 0.853 0.250
61 O 0.830 0.660 0.035
62 O 0.830 0.660 0.465
63 O 0.170 0.340 0.965
64 O 0.520 0.480 0.394
65 O 0.835 0.165 0.178
66 O 0.671 0.835 0.678
67 O 0.480 0.520 0.894
68 O 0.835 0.671 0.322
69 O 0.835 0.165 0.322
70 O 0.520 0.041 0.106

[2]
A geometry-optimized BaCr10O15 structure, computed with GGA+U.

Computed properties:
* energy of formation: -2.326 eV per atom

a b c (Å): 7.856 7.856 9.628
angles (deg): 90.00 90.00 96.60
Positions (direct):
1 Ba 0.000 0.000 0.500
2 Ba 0.500 0.500 0.000
3 Cr 0.418 0.907 0.115
4 Cr 0.082 0.593 0.615
5 Cr 0.407 0.918 0.385
6 Cr 0.093 0.582 0.885
7 Cr 0.582 0.093 0.885
8 Cr 0.918 0.407 0.385
9 Cr 0.593 0.082 0.615
10 Cr 0.907 0.418 0.115
11 Cr 0.788 0.043 0.143
12 Cr 0.712 0.457 0.643
13 Cr 0.543 0.288 0.357
14 Cr 0.957 0.212 0.857
15 Cr 0.212 0.957 0.857
16 Cr 0.288 0.543 0.357
17 Cr 0.457 0.712 0.643
18 Cr 0.043 0.788 0.143
19 Cr 0.817 0.817 0.865
20 Cr 0.683 0.683 0.365
21 Cr 0.317 0.317 0.635
22 Cr 0.183 0.183 0.135
23 O 0.500 0.500 0.500
24 O 0.000 0.000 0.000
25 O 0.145 0.145 0.740
26 O 0.355 0.355 0.240
27 O 0.645 0.645 0.760
28 O 0.855 0.855 0.260
29 O 0.223 0.959 0.240
30 O 0.277 0.541 0.740
31 O 0.459 0.723 0.260
32 O 0.041 0.777 0.760
33 O 0.777 0.041 0.760
34 O 0.723 0.459 0.260
35 O 0.541 0.277 0.740
36 O 0.959 0.223 0.240
37 O 0.565 0.065 0.250
38 O 0.935 0.435 0.750
39 O 0.435 0.935 0.750
40 O 0.065 0.565 0.250
41 O 0.365 0.104 0.995
42 O 0.135 0.396 0.495
43 O 0.604 0.865 0.505
44 O 0.896 0.635 0.005
45 O 0.756 0.244 0.000
46 O 0.744 0.256 0.500
47 O 0.244 0.756 0.000
48 O 0.256 0.744 0.500
49 O 0.104 0.365 0.995
50 O 0.396 0.135 0.495
51 O 0.865 0.604 0.505
52 O 0.635 0.896 0.005

[3]
A geometry-optimized BaCrO3 structure, computed with GGA+U.

Computed properties:
* energy of formation: -2.325 eV per atom

a b c (Å): 5.750 5.750 9.452
angles (deg): 90.00 90.00 120.00
Positions (direct):
1 Ba 0.667 0.333 0.750
2 Ba 0.333 0.667 0.250
3 Ba 0.000 0.000 0.500
4 Ba 0.000 0.000 0.000
5 Cr 0.333 0.667 0.890
6 Cr 0.667 0.333 0.390
7 Cr 0.667 0.333 0.110
8 Cr 0.333 0.667 0.610
9 O 0.627 0.813 0.750
10 O 0.813 0.627 0.250
11 O 0.813 0.187 0.250
12 O 0.187 0.813 0.750
13 O 0.187 0.373 0.750
14 O 0.373 0.187 0.250
15 O 0.500 0.000 0.500
16 O 0.500 0.500 0.000
17 O 0.500 0.000 0.000
18 O 0.500 0.500 0.500
19 O 0.000 0.500 0.500
20 O 0.000 0.500 0.000

[4]
A geometry-optimized BaCr2O4 structure, computed with GGA+U.

Computed properties:
* energy of formation: -2.603 eV per atom

a b c (Å): 5.269 6.073 12.440
angles (deg): 90.00 90.00 90.00
Positions (direct):
1 Ba 0.866 0.250 0.750
2 Ba 0.133 0.750 0.250
3 Ba 0.554 0.250 0.250
4 Ba 0.446 0.750 0.750
5 Cr 0.497 0.250 0.506
6 Cr 0.497 0.250 0.994
7 Cr 0.502 0.750 0.494
8 Cr 0.502 0.750 0.006
9 Cr 0.000 0.500 0.500
10 Cr 0.000 0.000 0.000
11 Cr 0.000 0.000 0.500
12 Cr 0.000 0.500 0.000
13 O 0.833 0.750 0.415
14 O 0.833 0.750 0.085
15 O 0.167 0.250 0.586
16 O 0.167 0.250 0.914
17 O 0.169 0.750 0.580
18 O 0.169 0.750 0.920
19 O 0.832 0.250 0.420
20 O 0.832 0.250 0.080
21 O 0.665 0.503 0.588
22 O 0.665 0.997 0.912
23 O 0.335 0.003 0.412
24 O 0.335 0.497 0.088
25 O 0.335 0.497 0.412
26 O 0.335 0.003 0.088
27 O 0.665 0.997 0.588
28 O 0.665 0.503 0.912

[5]
A geometry-optimized Ba5Cr3O13 structure, computed with GGA+U.

Computed properties:
* energy of formation: -2.614 eV per atom

a b c (Å): 8.020 10.547 10.562
angles (deg): 60.28 90.00 90.00
Positions (direct):
1 Ba 0.498 0.327 0.327
2 Ba 0.998 0.673 0.673
3 Ba 0.000 0.327 0.327
4 Ba 0.500 0.673 0.673
5 Ba 0.250 0.217 0.769
6 Ba 0.250 0.763 0.009
7 Ba 0.251 0.022 0.224
8 Ba 0.750 0.783 0.231
9 Ba 0.750 0.237 0.991
10 Ba 0.751 0.978 0.776
11 Cr 0.249 0.407 0.963
12 Cr 0.249 0.967 0.625
13 Cr 0.249 0.628 0.407
14 Cr 0.749 0.593 0.037
15 Cr 0.749 0.033 0.375
16 Cr 0.749 0.372 0.593
17 O 0.249 0.325 0.153
18 O 0.249 0.156 0.520
19 O 0.249 0.520 0.333
20 O 0.749 0.675 0.847
21 O 0.749 0.844 0.480
22 O 0.749 0.480 0.667
23 O 0.249 0.596 0.870
24 O 0.249 0.870 0.533
25 O 0.249 0.531 0.589
26 O 0.749 0.404 0.130
27 O 0.749 0.130 0.467
28 O 0.749 0.469 0.411
29 O 0.425 0.358 0.905
30 O 0.425 0.909 0.734
31 O 0.418 0.734 0.355
32 O 0.925 0.642 0.095
33 O 0.925 0.091 0.266
34 O 0.918 0.266 0.645
35 O 0.573 0.644 0.094
36 O 0.574 0.091 0.265
37 O 0.580 0.265 0.646
38 O 0.073 0.356 0.906
39 O 0.074 0.909 0.735
40 O 0.080 0.735 0.354
41 O 0.281 0.998 0.004
42 O 0.781 0.002 0.996

[6]
A geometry-optimized BaCrP2O7 structure, computed with GGA+U.

Computed properties:
* energy of formation: -2.890 eV per atom

a b c (Å): 5.440 7.557 7.693
angles (deg): 103.22 90.97 94.47
Positions (direct):
1 Ba 0.789 0.723 0.068
2 Ba 0.211 0.277 0.932
3 Cr 0.808 0.853 0.598
4 Cr 0.192 0.147 0.402
5 P 0.282 0.685 0.399
6 P 0.718 0.315 0.601
7 P 0.299 0.765 0.787
8 P 0.701 0.235 0.213
9 O 0.543 0.779 0.393
10 O 0.457 0.221 0.607
11 O 0.268 0.625 0.591
12 O 0.732 0.375 0.409
13 O 0.284 0.651 0.926
14 O 0.716 0.349 0.074
15 O 0.224 0.514 0.255
16 O 0.776 0.486 0.745
17 O 0.916 0.110 0.200
18 O 0.084 0.890 0.800
19 O 0.448 0.125 0.204
20 O 0.552 0.875 0.796
21 O 0.917 0.176 0.594
22 O 0.083 0.824 0.406

[7]
A geometry-optimized BaCr2PO13 structure, computed with GGA+U.

Computed properties:
* energy of formation: -1.287 eV per atom

a b c (Å): 10.058 8.645 7.655
angles (deg): 109.90 104.57 93.52
Positions (direct):
1 Ba 0.836 0.748 0.834
2 Ba 0.164 0.252 0.166
3 Cr 0.423 0.622 0.703
4 Cr 0.577 0.378 0.297
5 Cr 0.006 0.298 0.626
6 Cr 0.994 0.702 0.374
7 P 0.219 0.872 0.790
8 P 0.781 0.128 0.210
9 O 0.116 0.903 0.907
10 O 0.884 0.097 0.093
11 O 0.314 0.043 0.851
12 O 0.686 0.957 0.149
13 O 0.307 0.737 0.831
14 O 0.693 0.263 0.169
15 O 0.155 0.814 0.564
16 O 0.845 0.186 0.436
17 O 0.670 0.475 0.523
18 O 0.330 0.525 0.477
19 O 0.483 0.490 0.799
20 O 0.517 0.510 0.201
21 O 0.549 0.756 0.714
22 O 0.451 0.244 0.286
23 O 0.131 0.268 0.524
24 O 0.869 0.732 0.476
25 O 0.029 0.222 0.796
26 O 0.971 0.778 0.204
27 O 0.994 0.495 0.713
28 O 0.006 0.505 0.287
29 O 0.665 0.996 0.511
30 O 0.335 0.004 0.489
31 O 0.703 0.455 0.853
32 O 0.297 0.545 0.147
33 O 0.402 0.065 0.658
34 O 0.598 0.935 0.342

[8]
A geometry-optimized BaCr2P4O14 structure, computed with GGA+U.

Computed properties:
* energy of formation: -2.797 eV per atom

a b c (Å): 6.253 6.283 7.978
angles (deg): 96.61 101.52 105.90
Positions (direct):
1 Ba 0.000 0.000 0.000
2 Cr 0.625 0.311 0.771
3 Cr 0.375 0.689 0.229
4 P 0.817 0.538 0.194
5 P 0.183 0.462 0.806
6 P 0.514 0.757 0.665
7 P 0.486 0.243 0.335
8 O 0.934 0.319 0.733
9 O 0.066 0.681 0.267
10 O 0.681 0.639 0.757
11 O 0.319 0.361 0.243
12 O 0.674 0.700 0.168
13 O 0.326 0.300 0.832
14 O 0.569 0.984 0.786
15 O 0.431 0.016 0.214
16 O 0.524 0.773 0.480
17 O 0.476 0.227 0.520
18 O 0.256 0.606 0.660
19 O 0.744 0.394 0.340
20 O 0.220 0.636 0.970
21 O 0.780 0.364 0.030

[9]
A geometry-optimized BaCr2Ru4O12 structure, computed with GGA+U.

Computed properties:
* energy of formation: -1.852 eV per atom

a b c (Å): 9.292 10.080 10.080
angles (deg): 90.00 90.00 90.00
Positions (direct):
1 Ba 0.116 0.500 0.500
2 Ba 0.372 0.000 0.000
3 Ba 0.542 0.500 0.500
4 Ba 0.957 0.000 0.000
5 Cr 0.165 0.167 0.348
6 Cr 0.165 0.833 0.652
7 Cr 0.165 0.652 0.167
8 Cr 0.165 0.348 0.833
9 Cr 0.004 0.332 0.151
10 Cr 0.004 0.668 0.849
11 Cr 0.004 0.849 0.332
12 Cr 0.004 0.151 0.668
13 Ru 0.329 0.335 0.151
14 Ru 0.329 0.665 0.849
15 Ru 0.329 0.849 0.335
16 Ru 0.329 0.151 0.665
17 Ru 0.496 0.166 0.351
18 Ru 0.496 0.834 0.649
19 Ru 0.496 0.649 0.166
20 Ru 0.496 0.351 0.834
21 Ru 0.837 0.167 0.353
22 Ru 0.837 0.833 0.647
23 Ru 0.837 0.647 0.167
24 Ru 0.837 0.353 0.833
25 Ru 0.671 0.333 0.147
26 Ru 0.671 0.667 0.853
27 Ru 0.671 0.853 0.333
28 Ru 0.671 0.147 0.667
29 O 0.167 0.457 0.164
30 O 0.167 0.543 0.836
31 O 0.167 0.836 0.457
32 O 0.167 0.164 0.543
33 O 0.499 0.454 0.157
34 O 0.499 0.546 0.843
35 O 0.499 0.843 0.454
36 O 0.499 0.157 0.546
37 O 0.004 0.301 0.348
38 O 0.004 0.699 0.652
39 O 0.004 0.652 0.301
40 O 0.004 0.348 0.699
41 O 0.665 0.300 0.348
42 O 0.665 0.700 0.652
43 O 0.665 0.652 0.300
44 O 0.665 0.348 0.700
45 O 0.333 0.041 0.336
46 O 0.333 0.959 0.664
47 O 0.333 0.664 0.041
48 O 0.333 0.336 0.959
49 O 0.329 0.306 0.351
50 O 0.329 0.694 0.649
51 O 0.329 0.649 0.306
52 O 0.329 0.351 0.694
53 O 0.833 0.457 0.161
54 O 0.833 0.543 0.839
55 O 0.833 0.839 0.457
56 O 0.833 0.161 0.543
57 O 0.838 0.198 0.153
58 O 0.838 0.802 0.847
59 O 0.838 0.847 0.198
60 O 0.838 0.153 0.802
61 O 0.999 0.044 0.335
62 O 0.999 0.956 0.665
63 O 0.999 0.665 0.044
64 O 0.999 0.335 0.956
65 O 0.165 0.195 0.148
66 O 0.165 0.805 0.852
67 O 0.165 0.852 0.195
68 O 0.165 0.148 0.805
69 O 0.668 0.047 0.343
70 O 0.668 0.953 0.657
71 O 0.668 0.657 0.047
72 O 0.668 0.343 0.953
73 O 0.500 0.201 0.151
74 O 0.500 0.799 0.849
75 O 0.500 0.849 0.201
76 O 0.500 0.151 0.799